Below is a geometry-optimized LiVP2H2O8 structure, with properties calculated at the GGA+U level.

Cell and atoms, written as POSCAR:
```
LiVP2H2O8
1.0
6.9361 0.0000 0.0000
0.0000 7.9664 0.0000
0.0000 0.0000 5.3846
Li V P H O
2 2 4 4 16
Direct
0.0000 0.0000 0.0835 Li
0.5000 0.5000 0.9165 Li
0.0000 0.5000 0.7579 V
0.5000 0.0000 0.2421 V
0.2183 0.6540 0.2628 P
0.2817 0.1540 0.7372 P
0.7183 0.8460 0.7372 P
0.7817 0.3460 0.2628 P
0.0144 0.2129 0.4374 H
0.4856 0.7129 0.5626 H
0.5144 0.2871 0.5626 H
0.9856 0.7871 0.4374 H
0.0452 0.7864 0.2653 O
0.0855 0.2462 0.7271 O
0.1987 0.5447 0.4953 O
0.2075 0.5519 0.0200 O
0.2925 0.0519 0.9800 O
0.3013 0.0447 0.5047 O
0.4145 0.7462 0.2729 O
0.4548 0.2864 0.7347 O
0.5452 0.7136 0.7347 O
0.5855 0.2538 0.2729 O
0.6987 0.9553 0.5047 O
0.7075 0.9481 0.9800 O
0.7925 0.4481 0.0200 O
0.8013 0.4553 0.4953 O
0.9145 0.7538 0.7271 O
0.9548 0.2136 0.2653 O
```

Energy relative to the elements in eV/atom: -2.414
Distance to the lowest polymorph of the same formula in eV per atom: 0.000

=====

Below is a geometry-optimized Li9Mn2Co5O16 structure, with properties calculated at the GGA+U level.

Cell and atoms, written as POSCAR:
```
Li9Mn2Co5O16
1.0
5.1602 0.0000 0.0000
0.0000 2.9036 0.0000
-1.9471 0.0000 19.2164
Li Mn Co O
9 2 5 16
Direct
0.0000 0.0000 0.0000 Li
0.0094 0.5000 0.4898 Li
0.2508 0.0000 0.7424 Li
0.2623 0.5000 0.2375 Li
0.3829 0.0000 0.1171 Li
0.4956 0.5000 0.9977 Li
0.5085 0.0000 0.4881 Li
0.7584 0.5000 0.7422 Li
0.7681 0.0000 0.2360 Li
0.3834 0.5000 0.6161 Mn
0.6297 0.0000 0.8679 Mn
0.1300 0.5000 0.8691 Co
0.1350 0.0000 0.3649 Co
0.6350 0.5000 0.3642 Co
0.8837 0.0000 0.6165 Co
0.8840 0.5000 0.1167 Co
0.0400 0.5000 0.6739 O
0.0559 0.0000 0.1717 O
0.1481 0.5000 0.0616 O
0.2193 0.0000 0.5581 O
0.3181 0.5000 0.4231 O
0.3400 0.0000 0.9247 O
0.4525 0.0000 0.3064 O
0.4651 0.5000 0.8107 O
0.5451 0.0000 0.6745 O
0.6210 0.5000 0.1705 O
0.7127 0.0000 0.0616 O
0.7280 0.5000 0.5597 O
0.7908 0.5000 0.9239 O
0.8157 0.0000 0.4227 O
0.9239 0.0000 0.8118 O
0.9574 0.5000 0.3085 O
```

Energy relative to the elements in eV/atom: -1.792
Distance to the lowest polymorph of the same formula in eV per atom: 0.072

=====

Below is a geometry-optimized Mg2Co3O8 structure, with properties calculated at the GGA+U level.

Cell and atoms, written as POSCAR:
```
Mg2Co3O8
1.0
5.8373 0.0000 0.0000
-2.9186 5.0552 0.0000
0.0000 0.0000 9.4495
Mg Co O
4 6 16
Direct
0.3333 0.6667 0.0000 Mg
0.3333 0.6667 0.4016 Mg
0.6667 0.3333 0.5000 Mg
0.6667 0.3333 0.9016 Mg
0.1636 0.3272 0.7231 Co
0.1636 0.8364 0.7231 Co
0.3272 0.1636 0.2231 Co
0.6728 0.8364 0.7231 Co
0.8364 0.1636 0.2231 Co
0.8364 0.6728 0.2231 Co
0.0000 0.0000 0.3357 O
0.0000 0.0000 0.8357 O
0.0372 0.5186 0.8410 O
0.1601 0.3201 0.1248 O
0.1601 0.8399 0.1248 O
0.3201 0.1601 0.6248 O
0.3333 0.6667 0.6105 O
0.4814 0.5186 0.8410 O
0.4814 0.9628 0.8410 O
0.5186 0.0372 0.3410 O
0.5186 0.4814 0.3410 O
0.6667 0.3333 0.1105 O
0.6799 0.8399 0.1248 O
0.8399 0.1601 0.6248 O
0.8399 0.6799 0.6248 O
0.9628 0.4814 0.3410 O
```

Energy relative to the elements in eV/atom: -1.712

=====

Below is a geometry-optimized Mn2SnC10Cl2O10 structure, with properties calculated at the GGA+U level.

Cell and atoms, written as POSCAR:
```
Mn2SnC10Cl2O10
1.0
10.4140 0.0000 0.0000
0.0000 12.3517 0.0000
-7.8286 0.0000 14.0740
Mn Sn C Cl O
8 4 40 8 40
Direct
0.0020 0.2006 0.1267 Mn
0.0020 0.2994 0.6267 Mn
0.4366 0.1550 0.6371 Mn
0.4366 0.3450 0.1371 Mn
0.5634 0.6550 0.8629 Mn
0.5634 0.8450 0.3629 Mn
0.9980 0.7006 0.3733 Mn
0.9980 0.7994 0.8733 Mn
0.2466 0.1774 0.7046 Sn
0.2466 0.3226 0.2046 Sn
0.7534 0.6774 0.7954 Sn
0.7534 0.8226 0.2954 Sn
0.0303 0.7387 0.7791 C
0.0303 0.7613 0.2791 C
0.0495 0.1455 0.0383 C
0.0495 0.3545 0.5383 C
0.0779 0.6791 0.9512 C
0.0779 0.8209 0.4512 C
0.1167 0.0932 0.2109 C
0.1167 0.4068 0.7109 C
0.1723 0.6256 0.4234 C
0.1723 0.8744 0.9234 C
0.2668 0.1416 0.5199 C
0.2668 0.3584 0.0199 C
0.4123 0.6690 0.7380 C
0.4123 0.8310 0.2380 C
0.4304 0.1951 0.1217 C
0.4304 0.3049 0.6217 C
0.4332 0.0079 0.6594 C
0.4332 0.4921 0.1594 C
0.4416 0.6348 0.9130 C
0.4416 0.8652 0.4130 C
0.5584 0.1348 0.5870 C
0.5584 0.3652 0.0870 C
0.5668 0.5079 0.8406 C
0.5668 0.9921 0.3406 C
0.5696 0.6951 0.3783 C
0.5696 0.8049 0.8783 C
0.5877 0.1690 0.7620 C
0.5877 0.3310 0.2620 C
0.7332 0.6416 0.9801 C
0.7332 0.8584 0.4801 C
0.8277 0.1256 0.0766 C
0.8277 0.3744 0.5766 C
0.8833 0.5932 0.2891 C
0.8833 0.9068 0.7891 C
0.9221 0.1791 0.5488 C
0.9221 0.3209 0.0488 C
0.9505 0.6455 0.4617 C
0.9505 0.8545 0.9617 C
0.9697 0.2387 0.7209 C
0.9697 0.2613 0.2209 C
0.1611 0.5008 0.2167 Cl
0.1611 0.9992 0.7167 Cl
0.3753 0.2158 0.8725 Cl
0.3753 0.2842 0.3725 Cl
0.6247 0.7158 0.6275 Cl
0.6247 0.7842 0.1275 Cl
0.8389 0.0008 0.2833 Cl
0.8389 0.4992 0.7833 Cl
0.0547 0.7033 0.7217 O
0.0547 0.7967 0.2217 O
0.0777 0.1095 0.9826 O
0.0777 0.3905 0.4826 O
0.1259 0.6055 0.0015 O
0.1259 0.8945 0.5015 O
0.1616 0.1340 0.4470 O
0.1616 0.3660 0.9470 O
0.1896 0.0257 0.2621 O
0.1896 0.4743 0.7621 O
0.2833 0.5803 0.4552 O
0.2833 0.9197 0.9552 O
0.3161 0.6748 0.6610 O
0.3161 0.8252 0.1610 O
0.3650 0.6198 0.9453 O
0.3650 0.8802 0.4453 O
0.4268 0.1022 0.1119 O
0.4268 0.3978 0.6119 O
0.4371 0.5841 0.1736 O
0.4371 0.9159 0.6736 O
0.5629 0.0841 0.3264 O
0.5629 0.4159 0.8264 O
0.5732 0.6022 0.3881 O
0.5732 0.8978 0.8881 O
0.6350 0.1198 0.5547 O
0.6350 0.3802 0.0547 O
0.6839 0.1748 0.8390 O
0.6839 0.3252 0.3390 O
0.7167 0.0803 0.0448 O
0.7167 0.4197 0.5448 O
0.8104 0.5257 0.2379 O
0.8104 0.9743 0.7379 O
0.8384 0.6340 0.0530 O
0.8384 0.8660 0.5530 O
0.8741 0.1055 0.4985 O
0.8741 0.3945 0.9985 O
0.9223 0.6095 0.5174 O
0.9223 0.8905 0.0174 O
0.9453 0.2033 0.7783 O
0.9453 0.2967 0.2783 O
```

Energy relative to the elements in eV/atom: -0.818

=====

Below is a geometry-optimized LiFeSi4O10 structure, with properties calculated at the GGA+U level.

Cell and atoms, written as POSCAR:
```
LiFeSi4O10
1.0
4.8549 0.0000 0.0000
0.0000 7.1589 0.0000
0.0000 0.0000 11.4456
Li Fe Si O
2 2 8 20
Direct
0.0000 0.0000 0.0000 Li
0.0000 0.5000 0.5000 Li
0.5000 0.0000 0.1067 Fe
0.5000 0.5000 0.6067 Fe
0.0439 0.2131 0.7347 Si
0.0439 0.2869 0.2347 Si
0.4618 0.7138 0.8925 Si
0.4618 0.7862 0.3925 Si
0.5382 0.2138 0.3925 Si
0.5382 0.2862 0.8925 Si
0.9561 0.7131 0.2347 Si
0.9561 0.7869 0.7347 Si
0.0000 0.0000 0.6874 O
0.0000 0.5000 0.1874 O
0.1894 0.1521 0.1400 O
0.1894 0.3479 0.6400 O
0.2328 0.2028 0.8552 O
0.2328 0.2972 0.3552 O
0.2657 0.7064 0.7728 O
0.2657 0.7936 0.2728 O
0.3230 0.6585 0.4928 O
0.3230 0.8415 0.9928 O
0.5000 0.0000 0.4374 O
0.5000 0.5000 0.9374 O
0.6770 0.1585 0.9928 O
0.6770 0.3415 0.4928 O
0.7343 0.2064 0.2728 O
0.7343 0.2936 0.7728 O
0.7672 0.7028 0.3552 O
0.7672 0.7972 0.8552 O
0.8106 0.6521 0.6400 O
0.8106 0.8479 0.1400 O
```

Energy relative to the elements in eV/atom: -2.906
Largest piezoelectric modulus in C/m2: 0.7
Distance to the lowest polymorph of the same formula in eV per atom: 0.034

=====

Below is a geometry-optimized Ta2Zn2CrO8 structure, with properties calculated at the GGA+U level.

Cell and atoms, written as POSCAR:
```
Ta2Zn2CrO8
1.0
9.8058 -2.9996 0.0000
9.8058 2.9996 0.0000
-0.1429 0.0000 5.2962
Ta Zn Cr O
4 4 2 16
Direct
0.0377 0.7281 0.7685 Ta
0.2719 0.9623 0.7315 Ta
0.7281 0.0377 0.2685 Ta
0.9623 0.2719 0.2315 Ta
0.1287 0.4343 0.2694 Zn
0.4343 0.1287 0.7694 Zn
0.5657 0.8713 0.2306 Zn
0.8713 0.5657 0.7306 Zn
0.3509 0.6491 0.2500 Cr
0.6491 0.3509 0.7500 Cr
0.0433 0.8111 0.4381 O
0.0762 0.2823 0.9329 O
0.1596 0.4523 0.6397 O
0.1889 0.9567 0.0619 O
0.2823 0.0762 0.4329 O
0.3052 0.5775 0.9187 O
0.4225 0.6948 0.5813 O
0.4523 0.1596 0.1397 O
0.5477 0.8404 0.8603 O
0.5775 0.3052 0.4187 O
0.6948 0.4225 0.0813 O
0.7177 0.9238 0.5671 O
0.8111 0.0433 0.9381 O
0.8404 0.5477 0.3603 O
0.9238 0.7177 0.0671 O
0.9567 0.1889 0.5619 O
```

Energy relative to the elements in eV/atom: -2.643
Distance to the lowest polymorph of the same formula in eV per atom: 0.005

=====

Below is a geometry-optimized Na2VBPO7 structure, with properties calculated at the GGA+U level.

Cell and atoms, written as POSCAR:
```
Na2VBPO7
1.0
10.4890 0.0000 0.0000
0.0000 6.3921 0.0000
-5.1984 0.0000 9.7313
Na V B P O
8 4 4 4 28
Direct
0.2111 0.0037 0.4741 Na
0.2108 0.0042 0.9738 Na
0.2108 0.4958 0.4738 Na
0.2111 0.4963 0.9741 Na
0.7889 0.5037 0.0259 Na
0.7892 0.5042 0.5262 Na
0.7892 0.9958 0.0262 Na
0.7889 0.9963 0.5259 Na
0.3381 0.2496 0.3082 V
0.3381 0.2504 0.8082 V
0.6619 0.7496 0.1918 V
0.6619 0.7504 0.6918 V
0.0825 0.2499 0.1543 B
0.0825 0.2501 0.6543 B
0.9175 0.7499 0.3457 B
0.9175 0.7501 0.8457 B
0.4427 0.7496 0.3358 P
0.4427 0.7504 0.8358 P
0.5573 0.2496 0.1642 P
0.5573 0.2504 0.6642 P
0.0556 0.7501 0.4307 O
0.0556 0.7499 0.9307 O
0.1537 0.2498 0.3017 O
0.1537 0.2502 0.8017 O
0.1999 0.2501 0.1202 O
0.1999 0.2499 0.6202 O
0.3482 0.5545 0.3242 O
0.3479 0.5551 0.8235 O
0.3479 0.9449 0.3235 O
0.3482 0.9455 0.8242 O
0.4210 0.2499 0.0233 O
0.4210 0.2501 0.5233 O
0.4788 0.7492 0.2147 O
0.4788 0.7508 0.7147 O
0.5212 0.2492 0.2853 O
0.5212 0.2508 0.7853 O
0.5790 0.7499 0.4767 O
0.5790 0.7501 0.9767 O
0.6518 0.0545 0.1758 O
0.6521 0.0551 0.6765 O
0.6521 0.4449 0.1765 O
0.6518 0.4455 0.6758 O
0.8001 0.7501 0.3798 O
0.8001 0.7499 0.8798 O
0.8463 0.7498 0.1983 O
0.8463 0.7502 0.6983 O
0.9444 0.2501 0.0693 O
0.9444 0.2499 0.5693 O
```

Energy relative to the elements in eV/atom: -2.558
Distance to the lowest polymorph of the same formula in eV per atom: 0.000

=====

Below is a geometry-optimized BaCaZrWO6 structure, with properties calculated at the GGA+U level.

Cell and atoms, written as POSCAR:
```
BaCaZrWO6
1.0
0.0000 4.1564 4.1564
4.1564 0.0000 4.1564
4.1564 4.1564 0.0000
Ba Ca Zr W O
1 1 1 1 6
Direct
0.0000 0.0000 0.0000 Ba
0.5000 0.5000 0.5000 Ca
0.2500 0.2500 0.2500 Zr
0.7500 0.7500 0.7500 W
0.5027 0.5027 0.9973 O
0.5027 0.9973 0.5027 O
0.5027 0.9973 0.9973 O
0.9973 0.5027 0.5027 O
0.9973 0.5027 0.9973 O
0.9973 0.9973 0.5027 O
```

Energy relative to the elements in eV/atom: -2.980

=====

Below is a geometry-optimized Cs3Mo5P6O25 structure, with properties calculated at the GGA+U level.

Cell and atoms, written as POSCAR:
```
Cs3Mo5P6O25
1.0
12.3767 0.0000 0.0000
-6.1884 10.7186 0.0000
0.0000 0.0000 9.7741
Cs Mo P O
6 10 12 50
Direct
0.0878 0.3984 0.0000 Cs
0.3106 0.9122 0.0000 Cs
0.3984 0.0878 0.5000 Cs
0.6016 0.6894 0.0000 Cs
0.6894 0.6016 0.5000 Cs
0.9122 0.3106 0.5000 Cs
0.0000 0.0000 0.0480 Mo
0.0000 0.0000 0.5480 Mo
0.1889 0.6750 0.4091 Mo
0.3250 0.5138 0.4091 Mo
0.3333 0.6667 0.6681 Mo
0.4862 0.8111 0.4091 Mo
0.5138 0.3250 0.9091 Mo
0.6667 0.3333 0.1681 Mo
0.6750 0.1889 0.9091 Mo
0.8111 0.4862 0.9091 Mo
0.0644 0.6505 0.7238 P
0.0849 0.8529 0.2955 P
0.1471 0.2320 0.2955 P
0.2320 0.1471 0.7955 P
0.3495 0.4139 0.7238 P
0.4139 0.3495 0.2238 P
0.5861 0.9356 0.7238 P
0.6505 0.0644 0.2238 P
0.7680 0.9151 0.2955 P
0.8529 0.0849 0.7955 P
0.9151 0.7680 0.7955 P
0.9356 0.5861 0.2238 P
0.0415 0.5634 0.2733 O
0.0425 0.7578 0.7920 O
0.0615 0.6623 0.5685 O
0.0773 0.1699 0.1648 O
0.0799 0.9148 0.4266 O
0.0852 0.1651 0.4266 O
0.0926 0.9227 0.1648 O
0.1651 0.0852 0.9266 O
0.1699 0.0773 0.6648 O
0.1738 0.3684 0.2982 O
0.1905 0.6778 0.7841 O
0.1946 0.8262 0.2982 O
0.1983 0.5388 0.5205 O
0.2422 0.2847 0.7920 O
0.2847 0.2422 0.2920 O
0.3222 0.5127 0.7841 O
0.3333 0.6667 0.2962 O
0.3377 0.3993 0.5685 O
0.3406 0.8017 0.5205 O
0.3684 0.1738 0.7982 O
0.3993 0.3377 0.0685 O
0.4366 0.4781 0.2733 O
0.4612 0.6594 0.5205 O
0.4781 0.4366 0.7733 O
0.4873 0.8095 0.7841 O
0.5127 0.3222 0.2841 O
0.5219 0.9585 0.2733 O
0.5388 0.1983 0.0205 O
0.5634 0.0415 0.7733 O
0.6007 0.9385 0.5685 O
0.6316 0.8054 0.2982 O
0.6594 0.4612 0.0205 O
0.6623 0.0615 0.0685 O
0.6667 0.3333 0.7962 O
0.6778 0.1905 0.2841 O
0.7153 0.9575 0.7920 O
0.7578 0.0425 0.2920 O
0.8017 0.3406 0.0205 O
0.8054 0.6316 0.7982 O
0.8095 0.4873 0.2841 O
0.8262 0.1946 0.7982 O
0.8301 0.9074 0.1648 O
0.8349 0.9201 0.4266 O
0.9074 0.8301 0.6648 O
0.9148 0.0799 0.9266 O
0.9201 0.8349 0.9266 O
0.9227 0.0926 0.6648 O
0.9385 0.6007 0.0685 O
0.9575 0.7153 0.2920 O
0.9585 0.5219 0.7733 O
```

Energy relative to the elements in eV/atom: -2.456